The following is a DFT calculation (PBE) of an optimized crystal structure of Na2CePCO7.

Calculated volume: 14.88 Å³ per atom
Final energy: -171.36 eV/cell

a = 7.1752 Å, b = 5.2345 Å, c = 9.5067 Å
α = 89.67°, β = 90.00°, γ = 90.00°
Closest atoms and distances in Å follow each position.
Atoms (fractional coordinates):
Na 0.0071 0.2319 0.7986  4 O 2.29-2.53
Na 0.4929 0.2319 0.7986  4 O 2.29-2.53
Na 0.5071 0.7681 0.2014  4 O 2.29-2.53
Na 0.9929 0.7681 0.2014  4 O 2.29-2.53
Ce 0.7500 0.7694 0.6115  7 O 2.38-2.65
Ce 0.2500 0.2306 0.3885  7 O 2.38-2.65
P 0.2500 0.7114 0.5914  4 O 1.55-1.58
P 0.7500 0.2886 0.4086  4 O 1.55-1.58
C 0.7500 0.7328 0.9157  3 O 1.26-1.33
C 0.2500 0.2672 0.0843  3 O 1.26-1.33
O 0.2500 0.2906 0.9519  1 C 1.26
O 0.7500 0.9553 0.8509  1 C 1.31
O 0.7500 0.5323 0.8310  1 C 1.33
O 0.0737 0.8467 0.6476  1 P 1.55
O 0.4263 0.8467 0.6476  1 P 1.55
O 0.7500 0.2682 0.5744  1 P 1.58
O 0.2500 0.4202 0.6257  1 P 1.56
O 0.7500 0.5798 0.3743  1 P 1.56
O 0.2500 0.7318 0.4256  1 P 1.58
O 0.5737 0.1533 0.3524  1 P 1.55
O 0.9263 0.1533 0.3524  1 P 1.55
O 0.2500 0.4677 0.1690  1 C 1.33
O 0.2500 0.0447 0.1491  1 C 1.31
O 0.7500 0.7094 0.0481  1 C 1.26